Entry 1:
# GGA-PBE Rb2Ni3Se4, relaxed
# Formation enthalpy at 0 K   -0.85 eV per atom
data_Rb2Ni3Se4
_cell_length_a 15.053
_cell_length_b 14.401
_cell_length_c 6.154
_cell_angle_alpha 83.95
_cell_angle_beta 72.06
_cell_angle_gamma 23.99
_symmetry_space_group_name_H-M 'P 1'
_symmetry_Int_Tables_number 1
loop_
_symmetry_equiv_pos_as_xyz
'x,y,z'
loop_
_atom_site_label
_atom_site_type_symbol
_atom_site_fract_x
_atom_site_fract_y
_atom_site_fract_z
Rb1 Rb 0.049 0.049 0.201
Rb2 Rb 0.201 0.201 0.049
Rb3 Rb 0.799 0.799 0.951
Rb4 Rb 0.951 0.951 0.799
Ni1 Ni 0.125 0.125 0.625
Ni2 Ni 0.375 0.375 0.375
Ni3 Ni 0.375 0.375 0.875
Ni4 Ni 0.625 0.625 0.125
Ni5 Ni 0.625 0.625 0.625
Ni6 Ni 0.875 0.875 0.375
Se1 Se 0.157 0.484 0.260
Se2 Se 0.260 0.599 0.157
Se3 Se 0.401 0.740 0.516
Se4 Se 0.484 0.157 0.599
Se5 Se 0.516 0.843 0.401
Se6 Se 0.599 0.260 0.484
Se7 Se 0.740 0.401 0.843
Se8 Se 0.843 0.516 0.740

***

Entry 2:
# GGA-PBE Rb2Ni3Se2, relaxed
# Formation enthalpy at 0 K   -0.36 eV per atom
data_Rb2Ni3Se2
_cell_length_a 16.910
_cell_length_b 16.847
_cell_length_c 7.819
_cell_angle_alpha 77.05
_cell_angle_beta 76.16
_cell_angle_gamma 26.78
_symmetry_space_group_name_H-M 'P 1'
_symmetry_Int_Tables_number 1
loop_
_symmetry_equiv_pos_as_xyz
'x,y,z'
loop_
_atom_site_label
_atom_site_type_symbol
_atom_site_fract_x
_atom_site_fract_y
_atom_site_fract_z
Rb1 Rb 0.089 0.775 0.530
Rb2 Rb 0.107 0.530 0.775
Rb3 Rb 0.225 0.911 0.893
Rb4 Rb 0.470 0.893 0.911
Rb5 Rb 0.530 0.107 0.089
Rb6 Rb 0.775 0.089 0.107
Rb7 Rb 0.893 0.470 0.225
Rb8 Rb 0.911 0.225 0.470
Ni1 Ni 0.000 0.500 0.500
Ni2 Ni 0.239 0.251 0.683
Ni3 Ni 0.251 0.239 0.327
Ni4 Ni 0.317 0.673 0.761
Ni5 Ni 0.327 0.683 0.251
Ni6 Ni 0.500 0.000 0.500
Ni7 Ni 0.500 0.500 0.000
Ni8 Ni 0.500 0.500 0.500
Ni9 Ni 0.673 0.317 0.749
Ni10 Ni 0.683 0.327 0.239
Ni11 Ni 0.749 0.761 0.673
Ni12 Ni 0.761 0.749 0.317
Se1 Se 0.055 0.516 0.214
Se2 Se 0.214 0.716 0.055
Se3 Se 0.284 0.786 0.484
Se4 Se 0.484 0.945 0.284
Se5 Se 0.516 0.055 0.716
Se6 Se 0.716 0.214 0.516
Se7 Se 0.786 0.284 0.945
Se8 Se 0.945 0.484 0.786

***

Entry 3:
# GGA-PBE Ti2ReNi, relaxed
# Formation enthalpy at 0 K   -0.43 eV per atom
data_Ti2ReNi
_cell_length_a 6.137
_cell_length_b 6.137
_cell_length_c 6.137
_cell_angle_alpha 90.00
_cell_angle_beta 90.00
_cell_angle_gamma 90.00
_symmetry_space_group_name_H-M 'P 1'
_symmetry_Int_Tables_number 1
loop_
_symmetry_equiv_pos_as_xyz
'x,y,z'
loop_
_atom_site_label
_atom_site_type_symbol
_atom_site_fract_x
_atom_site_fract_y
_atom_site_fract_z
Ti1 Ti 0.250 0.250 0.250
Ti2 Ti 0.250 0.250 0.750
Ti3 Ti 0.250 0.750 0.250
Ti4 Ti 0.250 0.750 0.750
Ti5 Ti 0.750 0.250 0.250
Ti6 Ti 0.750 0.250 0.750
Ti7 Ti 0.750 0.750 0.250
Ti8 Ti 0.750 0.750 0.750
Re1 Re 0.000 0.000 0.000
Re2 Re 0.000 0.500 0.500
Re3 Re 0.500 0.000 0.500
Re4 Re 0.500 0.500 0.000
Ni1 Ni 0.000 0.000 0.500
Ni2 Ni 0.000 0.500 0.000
Ni3 Ni 0.500 0.000 0.000
Ni4 Ni 0.500 0.500 0.500

***

Entry 4:
# GGA-PBE NiRh, relaxed
# Formation enthalpy at 0 K   0.07 eV per atom
data_NiRh
_cell_length_a 2.655
_cell_length_b 2.655
_cell_length_c 12.510
_cell_angle_alpha 90.00
_cell_angle_beta 90.00
_cell_angle_gamma 120.00
_symmetry_space_group_name_H-M 'P 1'
_symmetry_Int_Tables_number 1
loop_
_symmetry_equiv_pos_as_xyz
'x,y,z'
loop_
_atom_site_label
_atom_site_type_symbol
_atom_site_fract_x
_atom_site_fract_y
_atom_site_fract_z
Ni1 Ni 0.000 0.000 0.000
Ni2 Ni 0.333 0.667 0.667
Ni3 Ni 0.667 0.333 0.333
Rh1 Rh 0.000 0.000 0.500
Rh2 Rh 0.333 0.667 0.167
Rh3 Rh 0.667 0.333 0.833